## Mg14NbCO16 (PBE-GGA)

Data for a relaxed structure of Mg14NbCO16.

Geometry as POSCAR:
```
Mg14NbCO16
1.0
8.5780 0.0000 0.0000
0.0000 8.5780 0.0000
0.0000 0.0000 4.3045
Mg O C Nb
14 16 1 1
direct
0.7402 0.0000 0.5000 Mg
0.5000 0.7415 0.5000 Mg
0.7421 0.2579 0.0000 Mg
0.2585 0.5000 0.5000 Mg
0.0000 0.7402 0.5000 Mg
0.2579 0.7421 0.0000 Mg
0.2598 0.0000 0.5000 Mg
0.2579 0.2579 0.0000 Mg
0.7421 0.7421 0.0000 Mg
0.0000 0.2598 0.5000 Mg
0.7415 0.5000 0.5000 Mg
0.5000 0.0000 0.0000 Mg
0.0000 0.5000 0.0000 Mg
0.5000 0.2585 0.5000 Mg
0.7509 0.7509 0.5000 O
0.7579 0.5000 0.0000 O
0.5000 0.2421 0.0000 O
0.7430 0.0000 0.0000 O
0.2421 0.5000 0.0000 O
0.0000 0.5000 0.5000 O
0.2491 0.2491 0.5000 O
0.5000 0.7579 0.0000 O
0.5000 0.5000 0.5000 O
0.0000 0.7430 0.0000 O
0.0000 0.2570 0.0000 O
0.2491 0.7509 0.5000 O
0.2570 0.0000 0.0000 O
0.7509 0.2491 0.5000 O
0.0000 0.0000 0.5000 O
0.5000 0.0000 0.5000 O
0.5000 0.5000 0.0000 C
0.0000 0.0000 0.0000 Nb
```

Summary:
The calculation puts the total energy at -6.0392 eV per atom. The formation energy is -2605 meV per atom. The calculation puts the total energy after the MP2020 corrections at -6.38 eV per atom. The volume comes out at 317 Å³/cell.



## MnRuN2 (PBE-GGA)

Data for a relaxed structure of MnRuN2.

Geometry as POSCAR:
```
MnRuN2
1.0
5.2017 0.0000 0.0000
0.0000 6.3555 0.0000
0.0000 0.0000 5.1643
N Mn Ru
8 4 4
direct
0.9486 0.8607 0.8822 N
0.0514 0.1393 0.3822 N
0.4161 0.0855 0.8481 N
0.5839 0.9145 0.3481 N
0.0839 0.5855 0.3481 N
0.5514 0.3607 0.3822 N
0.4486 0.6393 0.8822 N
0.9161 0.4145 0.8481 N
0.6186 0.8828 0.9950 Mn
0.3814 0.1172 0.4950 Mn
0.8814 0.3828 0.4950 Mn
0.1186 0.6172 0.9950 Mn
0.4363 0.6553 0.4967 Ru
0.0637 0.1553 0.9967 Ru
0.9363 0.8447 0.4967 Ru
0.5637 0.3447 0.9967 Ru
```

Summary:
The calculation puts the total energy at -8.6868 eV per atom. The formation energy is -90 meV per atom. The calculation puts the total energy after the MP2020 corrections at -8.87 eV per atom. The volume comes out at 171 Å³/cell.



## Ca3Si2SnO9 (PBE-GGA)

Data for a relaxed structure of Ca3Si2SnO9.

Geometry as POSCAR:
```
Ca3Si2SnO9
1.0
10.2013 0.0000 0.0000
0.0000 7.4156 0.0000
0.0000 0.2199 10.5325
O Si Ca Sn
36 8 12 4
direct
0.4976 0.9158 0.2575 O
0.1167 0.9091 0.0083 O
0.5010 0.6955 0.7632 O
0.1085 0.3409 0.9827 O
0.4990 0.3045 0.2368 O
0.6091 0.8558 0.0325 O
0.7688 0.8964 0.2390 O
0.8927 0.6172 0.7305 O
0.8833 0.0909 0.9917 O
0.2312 0.1036 0.7610 O
0.6085 0.6591 0.5173 O
0.6167 0.0909 0.4917 O
0.0024 0.9158 0.7575 O
0.0010 0.3045 0.7368 O
0.2332 0.6454 0.7205 O
0.8310 0.3806 0.5451 O
0.6690 0.3806 0.0451 O
0.2668 0.6454 0.2205 O
0.3927 0.3828 0.7695 O
0.3915 0.3409 0.4827 O
0.8915 0.6591 0.0173 O
0.2688 0.1036 0.2610 O
0.3310 0.6194 0.9549 O
0.1073 0.3828 0.2695 O
0.1690 0.6194 0.4549 O
0.8909 0.8558 0.5325 O
0.3833 0.9091 0.5083 O
0.7312 0.8964 0.7390 O
0.6073 0.6172 0.2305 O
0.7332 0.3546 0.7795 O
0.1091 0.1442 0.4675 O
0.5024 0.0842 0.7425 O
0.3909 0.1442 0.9675 O
0.9976 0.0842 0.2425 O
0.9990 0.6955 0.2632 O
0.7668 0.3546 0.2795 O
0.3745 0.1670 0.8158 Si
0.1368 0.5988 0.3053 Si
0.3632 0.5988 0.8053 Si
0.8745 0.8330 0.6842 Si
0.6368 0.4012 0.1947 Si
0.1255 0.1670 0.3158 Si
0.6255 0.8330 0.1842 Si
0.8632 0.4012 0.6947 Si
0.3333 0.8806 0.0835 Ca
0.6957 0.6281 0.9044 Ca
0.1957 0.3719 0.5956 Ca
0.5793 0.3638 0.6113 Ca
0.1667 0.8806 0.5835 Ca
0.0793 0.6362 0.8887 Ca
0.8043 0.6281 0.4044 Ca
0.3043 0.3719 0.0956 Ca
0.9207 0.3638 0.1113 Ca
0.6667 0.1194 0.9165 Ca
0.8333 0.1194 0.4165 Ca
0.4207 0.6362 0.3887 Ca
0.0585 0.1202 0.8821 Sn
0.4415 0.1202 0.3821 Sn
0.9415 0.8798 0.1179 Sn
0.5585 0.8798 0.6179 Sn
```

Summary:
The calculation puts the total energy at -7.1472 eV per atom. The formation energy is -3199 meV per atom. The calculation puts the total energy after the MP2020 corrections at -7.56 eV per atom. The volume comes out at 797 Å³/cell.



## Sc3IrC4 (PBE-GGA)

Data for a relaxed structure of Sc3IrC4.

Geometry as POSCAR:
```
Sc3IrC4
1.0
-4.7681 1.4296 4.5431
-6.5595 -1.5430 0.1059
6.4472 -1.9072 -0.4636
Sc C Ir
3 4 1
direct
0.1905 0.6905 0.5000 Sc
0.8095 0.3095 0.5000 Sc
0.5000 0.5000 0.0000 Sc
0.2091 0.8725 0.3366 C
0.7909 0.1275 0.6634 C
0.5358 0.8725 0.6634 C
0.4642 0.1275 0.3366 C
0.0000 0.0000 0.0000 Ir
```

Summary:
The calculation puts the total energy at -8.5928 eV per atom. The formation energy is -499 meV per atom. The volume comes out at 94 Å³/cell.



## MgSn2 (PBE-GGA)

Data for a relaxed structure of MgSn2.

Geometry as POSCAR:
```
MgSn2
1.0
0.6830 6.9321 3.9933
-3.3571 -7.0575 -1.8404
3.2974 -2.5971 3.9444
Sn Mg
4 2
direct
0.6189 0.3811 0.2500 Sn
0.9414 0.0586 0.2500 Sn
0.3811 0.6189 0.7500 Sn
0.0586 0.9414 0.7500 Sn
0.7209 0.2791 0.7500 Mg
0.2791 0.7209 0.2500 Mg
```

Summary:
The calculation puts the total energy at -3.1797 eV per atom. The formation energy is 27 meV per atom. The volume comes out at 155 Å³/cell.



## Na7Y2Al2SiP5O24 (PBE-GGA)

Data for a relaxed structure of Na7Y2Al2SiP5O24.

Geometry as POSCAR:
```
Na7Y2Al2SiP5O24
1.0
9.0240 0.0164 0.0091
-4.4979 7.8029 -0.0002
0.0240 0.0124 22.3313
Na O P Al Y Si
21 72 15 6 6 3
direct
0.9625 0.2932 0.4122 Na
0.3094 0.9758 0.0840 Na
0.6402 0.6511 0.7518 Na
0.3414 0.6801 0.1680 Na
0.6744 0.6906 0.0829 Na
0.7071 0.0388 0.9146 Na
0.0247 0.3414 0.0854 Na
0.9919 0.9852 0.4964 Na
0.9953 0.3539 0.7570 Na
0.3328 0.0365 0.4163 Na
0.3714 0.3741 0.2533 Na
0.3082 0.3286 0.5765 Na
0.3587 0.9928 0.7514 Na
0.3412 0.6779 0.6662 Na
0.6559 0.9710 0.5834 Na
0.0314 0.6914 0.5777 Na
0.0013 0.6294 0.2501 Na
0.6665 0.3325 0.3314 Na
0.6533 0.3284 0.8327 Na
0.9591 0.6658 0.9202 Na
0.0119 0.0079 0.0062 Na
0.1714 0.9550 0.9212 O
0.9996 0.1833 0.5836 O
0.4698 0.0911 0.6387 O
0.2196 0.1848 0.8012 O
0.6632 0.1625 0.7508 O
0.8118 0.0305 0.8105 O
0.1655 0.9900 0.5825 O
0.9983 0.8376 0.0969 O
0.2970 0.8290 0.2582 O
0.5422 0.8430 0.4713 O
0.7931 0.8225 0.1938 O
0.4897 0.6423 0.5685 O
0.4788 0.3515 0.4110 O
0.8100 0.8219 0.5840 O
0.4303 0.2810 0.0350 O
0.4948 0.8196 0.7619 O
0.7619 0.9570 0.6934 O
0.6261 0.5401 0.6407 O
0.8832 0.5119 0.4124 O
0.1717 0.4684 0.2548 O
0.8468 0.5157 0.7483 O
0.6354 0.5058 0.9159 O
0.8627 0.3117 0.5239 O
0.4907 0.3478 0.7470 O
0.9771 0.7787 0.8093 O
0.1661 0.9690 0.1979 O
0.6153 0.1007 0.1327 O
0.4462 0.1470 0.5219 O
0.8532 0.5715 0.0271 O
0.7107 0.1340 0.0248 O
0.3388 0.4876 0.3545 O
0.3399 0.8485 0.8608 O
0.9912 0.1788 0.3109 O
0.4695 0.3758 0.1429 O
0.3092 0.4724 0.4681 O
0.4991 0.1209 0.9169 O
0.0212 0.1908 0.1973 O
0.5060 0.8501 0.3591 O
0.7880 0.8252 0.9202 O
0.0300 0.2079 0.9215 O
0.2057 0.2475 0.6921 O
0.8512 0.3133 0.2525 O
0.1729 0.6714 0.0745 O
0.8290 0.8151 0.3062 O
0.5145 0.8362 0.0730 O
0.3345 0.8442 0.9756 O
0.5111 0.6593 0.8599 O
0.7006 0.5491 0.5313 O
0.5243 0.6954 0.2582 O
0.1534 0.4867 0.9764 O
0.6463 0.1255 0.4140 O
0.3375 0.4937 0.0745 O
0.1708 0.1749 0.0979 O
0.1610 0.5041 0.5674 O
0.1588 0.1965 0.4104 O
0.4528 0.1573 0.2512 O
0.5121 0.6661 0.9749 O
0.1680 0.6994 0.4675 O
0.9001 0.5163 0.1410 O
0.1861 0.0141 0.3108 O
0.1510 0.6567 0.3546 O
0.9101 0.3812 0.6351 O
0.1666 0.6708 0.7624 O
0.3133 0.4893 0.7625 O
0.1489 0.4900 0.8614 O
0.8109 0.9695 0.4072 O
0.3478 0.8298 0.5678 O
0.0432 0.8037 0.6977 O
0.6906 0.5401 0.2500 O
0.8753 0.3735 0.9172 O
0.0381 0.8398 0.4072 O
0.8325 0.0116 0.0957 O
0.6251 0.9410 0.4121 P
0.3074 0.3179 0.7512 P
0.2756 0.9911 0.2547 P
0.3224 0.3807 0.4107 P
0.6060 0.6616 0.9176 P
0.6558 0.6389 0.5808 P
0.7103 0.7241 0.2530 P
0.0085 0.6920 0.7549 P
0.3365 0.9419 0.9185 P
0.6682 0.0196 0.0814 P
0.9838 0.3456 0.5770 P
0.0080 0.2843 0.2541 P
0.0601 0.6781 0.4104 P
0.0578 0.3923 0.9191 P
0.3517 0.3320 0.0875 P
0.3389 0.6719 0.5118 Al
0.9905 0.9922 0.3509 Al
0.3307 0.6644 0.0186 Al
0.3362 0.6673 0.8176 Al
0.3440 0.6753 0.3147 Al
0.9955 0.9940 0.1538 Al
0.6600 0.3362 0.9838 Y
0.9993 0.0003 0.6539 Y
0.6635 0.3261 0.6777 Y
0.0092 0.0096 0.8565 Y
0.6651 0.3415 0.4755 Y
0.6696 0.3260 0.1856 Y
0.3567 0.0137 0.5773 Si
0.9825 0.6501 0.0846 Si
0.6819 0.9911 0.7545 Si
```

Summary:
The calculation puts the total energy at -6.9697 eV per atom. The formation energy is -2959 meV per atom. The calculation puts the total energy after the MP2020 corrections at -7.37 eV per atom. The volume comes out at 1574 Å³/cell.